# K2CuF4 (PBE, relaxed)
# Relative energy among the computed polymorphs   0.007 eV per atom
# SG   I4/mmm, No. 139
# Theoretical density   3247 kg/m3
# VASP energy   -29.89 eV/f.u.
# ΔE_f   -2536.9 meV per atom
# Volume   111.35 Å³ per cell
data_K2CuF4
_chemical_formula_sum 'K2 Cu1 F4'
_space_group_name_H-M_alt 'P 1'
_space_group_IT_number 1
_cell_length_a 7.135
_cell_length_b 7.135
_cell_length_c 7.135
_cell_angle_alpha 146.30
_cell_angle_beta 146.30
_cell_angle_gamma 48.41
loop_
_space_group_symop_operation_xyz
'x,y,z'
loop_
_atom_site_label
_atom_site_type_symbol
_atom_site_fract_x
_atom_site_fract_y
_atom_site_fract_z
K1 K 0.143 0.143 0.000
K2 K 0.857 0.857 0.000
Cu1 Cu 0.500 0.500 0.000
F1 F 0.000 0.500 0.500
F2 F 0.347 0.347 0.000
F3 F 0.500 0.000 0.500
F4 F 0.653 0.653 0.000